Entry 1:
Cu4SnS4 after structural relaxation. Source: the Materials Project, functional PBE-GGA.

Computed properties:
* total DFT energy (no corrections): -4.342 eV/atom

abc: 13.6484 7.6361 6.4370
angles: 90.00 90.00 90.00
Closest atoms and distances in Å follow each position.
Space group Pnma (No. 62)
Inequivalent atoms, fractional coordinates:
Cu: 0.0675 0.2500 0.1088 (multiplicity 4)  2 S 2.23-2.29, 1 Cu 2.47
Cu: 0.1582 0.2500 0.4408 (multiplicity 4)  3 S 2.25-2.29, 1 Cu 2.47
Cu: 0.1650 0.5111 0.8745 (multiplicity 8)  4 S 2.26-2.39
Sn: 0.0860 0.7500 0.3744 (multiplicity 4)  4 S 2.49-2.50
S: 0.0841 0.7500 0.7604 (multiplicity 4)  3 Cu 2.23-2.26, 1 Sn 2.49
S: 0.0867 0.2500 0.7560 (multiplicity 4)  4 Cu 2.25-2.39, 1 Sn 2.50
S: 0.1772 0.0073 0.2368 (multiplicity 8)  4 Cu 2.29-2.52, 1 Sn 2.49


Entry 2:
CuSn4S8 after structural relaxation. Source: the Materials Project, functional PBE-GGA.

Computed properties:
* total DFT energy (no corrections): -4.446 eV/atom

abc: 10.6014 10.6014 10.6014
angles: 90.00 90.00 90.00
Closest atoms and distances in Å follow each position.
Space group F-43m (No. 216)
Inequivalent atoms, fractional coordinates:
Cu: 0.0000 0.0000 0.0000 (multiplicity 4)  4 S 2.33
Sn: 0.1215 0.1215 0.3785 (multiplicity 16)  6 S 2.60-2.67
S: 0.1239 0.1239 0.6239 (multiplicity 16)  3 Sn 2.60
S: 0.1271 0.1271 0.1271 (multiplicity 16)  1 Cu 2.33


no.,energy relative to the elements (meV/atom),magnetic moment (μB per formula unit)
1,-460,0.017
2,-661,0.005